[1]
Here is Na3Sc2V3O12 after structural relaxation from Materials Project. Energies are from PBE with a Hubbard U.

Calculated values
Energy of formation from the pure elements, kJ/mol of atoms: -271.0
Total DFT energy (no corrections), eV for the cell shown: -584.37

Unit cell a=11.071 b=11.071 c=11.071 alpha=109.47 beta=109.47 gamma=109.47
Positions (direct):
Na 0.375 0.125 0.250
Na 0.750 0.125 0.375
Na 0.250 0.375 0.125
Na 0.125 0.250 0.375
Na 0.375 0.750 0.125
Na 0.125 0.375 0.750
Na 0.625 0.875 0.750
Na 0.250 0.875 0.625
Na 0.750 0.625 0.875
Na 0.875 0.750 0.625
Na 0.625 0.250 0.875
Na 0.875 0.625 0.250
Sc 0.000 0.000 0.000
Sc 0.500 0.000 0.000
Sc 0.000 0.500 0.000
Sc 0.000 0.000 0.500
Sc 0.500 0.500 0.000
Sc 0.000 0.500 0.500
Sc 0.500 0.000 0.500
Sc 0.500 0.500 0.500
V 0.625 0.375 0.250
V 0.750 0.375 0.625
V 0.250 0.125 0.875
V 0.875 0.250 0.125
V 0.625 0.750 0.375
V 0.375 0.625 0.750
V 0.125 0.750 0.875
V 0.750 0.875 0.125
V 0.375 0.250 0.625
V 0.250 0.625 0.375
V 0.875 0.125 0.750
V 0.125 0.875 0.250
O 0.412 0.806 0.799
O 0.887 0.394 0.088
O 0.106 0.993 0.694
O 0.507 0.613 0.701
O 0.694 0.088 0.701
O 0.613 0.701 0.507
O 0.613 0.412 0.106
O 0.701 0.507 0.613
O 0.806 0.507 0.394
O 0.993 0.799 0.887
O 0.799 0.887 0.993
O 0.701 0.694 0.088
O 0.412 0.106 0.613
O 0.394 0.806 0.507
O 0.088 0.701 0.694
O 0.106 0.613 0.412
O 0.507 0.394 0.806
O 0.088 0.887 0.394
O 0.993 0.694 0.106
O 0.194 0.493 0.606
O 0.694 0.106 0.993
O 0.799 0.412 0.806
O 0.394 0.088 0.887
O 0.887 0.993 0.799
O 0.588 0.194 0.201
O 0.113 0.606 0.912
O 0.894 0.007 0.306
O 0.493 0.387 0.299
O 0.306 0.912 0.299
O 0.387 0.299 0.493
O 0.387 0.588 0.894
O 0.299 0.493 0.387
O 0.113 0.007 0.201
O 0.606 0.912 0.113
O 0.201 0.588 0.194
O 0.194 0.201 0.588
O 0.306 0.894 0.007
O 0.007 0.306 0.894
O 0.912 0.113 0.606
O 0.493 0.606 0.194
O 0.894 0.387 0.588
O 0.912 0.299 0.306
O 0.606 0.194 0.493
O 0.588 0.894 0.387
O 0.299 0.306 0.912
O 0.201 0.113 0.007
O 0.007 0.201 0.113
O 0.806 0.799 0.412

[2]
Here is Na3Sc2W3O12 after structural relaxation from Materials Project. Energies are from PBE with a Hubbard U.

Calculated values
Energy of formation from the pure elements, kJ/mol of atoms: -238.1
Total DFT energy (no corrections), eV for the cell shown: -285.38

Unit cell a=9.263 b=9.263 c=7.293 alpha=75.84 beta=75.84 gamma=96.32
Positions (direct):
Na 0.228 0.772 0.250
Na 0.772 0.228 0.750
Na 0.000 0.000 0.000
Na 0.000 0.000 0.500
Na 0.510 0.490 0.250
Na 0.490 0.510 0.750
Sc 0.554 0.866 0.378
Sc 0.446 0.134 0.622
Sc 0.134 0.446 0.122
Sc 0.866 0.554 0.878
W 0.780 0.220 0.250
W 0.220 0.780 0.750
W 0.383 0.156 0.122
W 0.617 0.844 0.878
W 0.844 0.617 0.378
W 0.156 0.383 0.622
O 0.468 0.084 0.340
O 0.532 0.916 0.660
O 0.916 0.532 0.160
O 0.084 0.468 0.840
O 0.495 0.840 0.129
O 0.505 0.160 0.871
O 0.160 0.505 0.371
O 0.840 0.495 0.629
O 0.200 0.033 0.219
O 0.800 0.967 0.781
O 0.967 0.800 0.281
O 0.033 0.200 0.719
O 0.760 0.019 0.228
O 0.240 0.981 0.772
O 0.981 0.240 0.272
O 0.019 0.760 0.728
O 0.665 0.273 0.469
O 0.335 0.727 0.531
O 0.727 0.335 0.031
O 0.273 0.665 0.969
O 0.644 0.667 0.424
O 0.356 0.333 0.576
O 0.333 0.356 0.076
O 0.667 0.644 0.924

[3]
Here is NaScW2O8 after structural relaxation from Materials Project. Energies are from PBE with a Hubbard U.

Calculated values
Energy of formation from the pure elements, kJ/mol of atoms: -251.0
Total DFT energy (no corrections), eV for the cell shown: -180.00

Unit cell a=5.153 b=5.877 c=10.193 alpha=90.00 beta=91.44 gamma=90.00
Positions (direct):
Na 0.750 0.671 0.500
Na 0.250 0.329 0.500
Sc 0.750 0.672 0.000
Sc 0.250 0.328 0.000
W 0.248 0.829 0.761
W 0.752 0.171 0.239
W 0.252 0.829 0.239
W 0.748 0.171 0.761
O 0.620 0.369 0.645
O 0.380 0.631 0.355
O 0.880 0.369 0.355
O 0.120 0.631 0.645
O 0.560 0.903 0.671
O 0.440 0.097 0.329
O 0.940 0.903 0.329
O 0.060 0.097 0.671
O 0.938 0.883 0.871
O 0.062 0.117 0.129
O 0.562 0.883 0.129
O 0.438 0.117 0.871
O 0.900 0.371 0.889
O 0.100 0.629 0.111
O 0.600 0.371 0.111
O 0.400 0.629 0.889

[4]
Here is Na2V3Se6O6 after structural relaxation from Materials Project. Energies are from PBE with a Hubbard U.

Calculated values
Energy of formation from the pure elements, kJ/mol of atoms: -33.1
Total DFT energy (no corrections), eV for the cell shown: -81.29

Unit cell a=6.203 b=6.203 c=10.807 alpha=84.28 beta=84.28 gamma=119.92
Positions (direct):
Na 0.775 0.225 0.500
Na 0.225 0.775 0.500
V 0.500 0.500 0.000
V 0.166 0.834 0.000
V 0.834 0.166 0.000
Se 0.220 0.554 0.854
Se 0.878 0.878 0.855
Se 0.554 0.220 0.854
Se 0.122 0.122 0.145
Se 0.780 0.446 0.146
Se 0.446 0.780 0.146
O 0.591 0.800 0.523
O 0.224 0.224 0.538
O 0.800 0.591 0.523
O 0.776 0.776 0.462
O 0.409 0.200 0.477
O 0.200 0.409 0.477

[5]
Here is Na2W3SeO14 after structural relaxation from Materials Project. Energies are from PBE with a Hubbard U.

Calculated values
Energy of formation from the pure elements, kJ/mol of atoms: -157.2
Total DFT energy (no corrections), eV for the cell shown: -247.89

Unit cell a=7.353 b=7.398 c=12.510 alpha=89.78 beta=90.44 gamma=119.80
Positions (direct):
Na 0.494 0.004 0.245
Na 0.505 0.501 0.246
Na 0.490 0.996 0.745
Na 0.004 0.499 0.746
W 0.824 0.164 0.503
W 0.337 0.174 0.505
W 0.834 0.662 0.503
W 0.660 0.836 0.003
W 0.163 0.826 0.005
W 0.172 0.338 0.003
Se 0.004 0.997 0.731
Se 0.008 0.003 0.231
O 0.753 0.876 0.495
O 0.118 0.243 0.494
O 0.124 0.878 0.493
O 0.878 0.124 0.995
O 0.875 0.757 0.994
O 0.246 0.122 0.993
O 0.543 0.092 0.550
O 0.543 0.457 0.544
O 0.909 0.453 0.546
O 0.451 0.908 0.050
O 0.086 0.543 0.044
O 0.457 0.547 0.046
O 0.333 0.667 0.342
O 0.665 0.333 0.842
O 0.251 0.119 0.672
O 0.889 0.751 0.673
O 0.874 0.120 0.675
O 0.132 0.881 0.172
O 0.138 0.249 0.173
O 0.754 0.880 0.175
O 0.697 0.350 0.155
O 0.348 0.650 0.655
O 0.780 0.186 0.366
O 0.394 0.199 0.365
O 0.795 0.604 0.365
O 0.593 0.814 0.866
O 0.195 0.801 0.865
O 0.191 0.396 0.865

[6]
Here is NaSrSmWO6 after structural relaxation from Materials Project. Energies are from PBE with a Hubbard U.

Calculated values
Energy of formation from the pure elements, kJ/mol of atoms: -274.4
Total DFT energy (no corrections), eV for the cell shown: -70.25

Unit cell a=5.980 b=5.980 c=5.980 alpha=60.00 beta=60.00 gamma=60.00
Positions (direct):
Na 0.750 0.750 0.750
Sr 0.250 0.250 0.250
Sm 0.000 0.000 0.000
W 0.500 0.500 0.500
O 0.730 0.270 0.270
O 0.270 0.730 0.730
O 0.730 0.270 0.730
O 0.270 0.730 0.270
O 0.730 0.730 0.270
O 0.270 0.270 0.730

[7]
Here is Na3SmV2O8 after structural relaxation from Materials Project. Energies are from PBE with a Hubbard U.

Calculated values
Energy relative to the lowest polymorph listed for this composition, eV per atom: 0.071
Energy of formation from the pure elements, kJ/mol of atoms: -250.3
Total DFT energy (no corrections), eV for the cell shown: -93.86

Unit cell a=5.988 b=5.988 c=7.334 alpha=90.00 beta=90.00 gamma=120.00
Positions (direct):
Na 0.333 0.667 0.696
Na 0.667 0.333 0.304
Na 0.000 0.000 0.000
Sm 0.000 0.000 0.500
V 0.333 0.667 0.222
V 0.667 0.333 0.778
O 0.333 0.667 0.993
O 0.667 0.333 0.007
O 0.174 0.826 0.307
O 0.826 0.174 0.693
O 0.174 0.349 0.307
O 0.826 0.651 0.693
O 0.651 0.826 0.307
O 0.349 0.174 0.693

[8]
Here is Na3SmV2O8 after structural relaxation from Materials Project. Energies are from PBE with a Hubbard U.

Calculated values
Energy relative to the lowest polymorph listed for this composition, eV per atom: 0.000
Energy of formation from the pure elements, kJ/mol of atoms: -257.2
Total DFT energy (no corrections), eV for the cell shown: -569.13

Unit cell a=14.969 b=14.969 c=14.351 alpha=88.68 beta=88.68 gamma=21.71
Positions (direct):
Na 0.292 0.288 0.417
Na 0.288 0.292 0.917
Na 0.179 0.146 0.328
Na 0.146 0.179 0.828
Na 0.334 0.445 0.075
Na 0.445 0.334 0.575
Na 0.544 0.450 0.235
Na 0.450 0.544 0.735
Na 0.053 0.069 0.009
Na 0.069 0.053 0.509
Na 0.608 0.589 0.391
Na 0.589 0.608 0.891
Na 0.933 0.949 0.154
Na 0.949 0.933 0.654
Na 0.716 0.728 0.474
Na 0.728 0.716 0.974
Na 0.807 0.834 0.295
Na 0.834 0.807 0.795
Sm 0.579 0.661 0.635
Sm 0.661 0.579 0.135
Sm 0.042 0.843 0.401
Sm 0.843 0.042 0.901
Sm 0.229 0.305 0.170
Sm 0.305 0.229 0.670
V 0.701 0.728 0.252
V 0.728 0.701 0.752
V 0.085 0.024 0.258
V 0.024 0.085 0.758
V 0.181 0.166 0.049
V 0.166 0.181 0.549
V 0.800 0.864 0.048
V 0.864 0.800 0.548
V 0.430 0.341 0.308
V 0.341 0.430 0.808
V 0.451 0.549 0.002
V 0.549 0.451 0.502
O 0.929 0.214 0.162
O 0.214 0.929 0.662
O 0.420 0.875 0.018
O 0.875 0.420 0.518
O 0.409 0.584 0.394
O 0.584 0.409 0.894
O 0.460 0.017 0.289
O 0.017 0.460 0.789
O 0.314 0.466 0.419
O 0.466 0.314 0.919
O 0.017 0.150 0.354
O 0.150 0.017 0.854
O 0.133 0.211 0.168
O 0.211 0.133 0.668
O 0.585 0.347 0.075
O 0.347 0.585 0.575
O 0.873 0.908 0.526
O 0.908 0.873 0.026
O 0.355 0.303 0.276
O 0.303 0.355 0.776
O 0.667 0.966 0.643
O 0.966 0.667 0.143
O 0.748 0.055 0.304
O 0.055 0.748 0.804
O 0.492 0.149 0.078
O 0.149 0.492 0.578
O 0.730 0.704 0.133
O 0.704 0.730 0.633
O 0.963 0.526 0.301
O 0.526 0.963 0.801
O 0.233 0.229 0.019
O 0.229 0.233 0.519
O 0.520 0.594 0.035
O 0.594 0.520 0.535
O 0.397 0.740 0.235
O 0.740 0.397 0.735
O 0.749 0.853 0.453
O 0.853 0.749 0.953
O 0.371 0.918 0.497
O 0.918 0.371 0.997
O 0.983 0.009 0.275
O 0.009 0.983 0.775
O 0.285 0.556 0.240
O 0.556 0.285 0.740
O 0.834 0.134 0.499
O 0.134 0.834 0.999
O 0.660 0.653 0.783
O 0.653 0.660 0.283

[9]
Here is NaSrSnWO6 after structural relaxation from Materials Project. Energies are from PBE with a Hubbard U.

Calculated values
Energy of formation from the pure elements, kJ/mol of atoms: -220.4
Total DFT energy (no corrections), eV for the cell shown: -63.95

Unit cell a=5.725 b=5.725 c=5.725 alpha=60.00 beta=60.00 gamma=60.00
Positions (direct):
Na 0.750 0.750 0.750
Sr 0.250 0.250 0.250
Sn 0.000 0.000 0.000
W 0.500 0.500 0.500
O 0.746 0.254 0.254
O 0.254 0.746 0.746
O 0.746 0.254 0.746
O 0.254 0.746 0.254
O 0.746 0.746 0.254
O 0.254 0.254 0.746

[10]
Here is NaSrTbVO6 after structural relaxation from Materials Project. Energies are from PBE with a Hubbard U.

Calculated values
Energy of formation from the pure elements, kJ/mol of atoms: -262.4
Total DFT energy (no corrections), eV for the cell shown: -67.80

Unit cell a=5.817 b=5.817 c=5.817 alpha=60.00 beta=60.00 gamma=60.00
Positions (direct):
Na 0.250 0.250 0.250
Sr 0.750 0.750 0.750
Tb 0.000 0.000 0.000
V 0.500 0.500 0.500
O 0.729 0.271 0.271
O 0.271 0.729 0.729
O 0.729 0.271 0.729
O 0.271 0.729 0.271
O 0.729 0.729 0.271
O 0.271 0.271 0.729